Arrangement w

First-principles (PBE) data for a relaxed Na4MgTi2Ge2O10 crystal, as listed in the Materials Project.

abc: 5.5934 6.9084 6.8396
angles: 90.00 91.15 90.00
Element x y z (fractional)
Na1 0.0000 0.1778 0.0000
Na2 0.0000 0.8222 0.0000
Na3 0.9030 0.2314 0.5077
Na4 0.9030 0.7686 0.5077
Mg1 0.7389 0.5000 0.0797
Ti1 0.2811 0.5000 0.7613
Ti2 0.5528 0.0000 0.2170
Ge1 0.3215 0.5000 0.2631
Ge2 0.4317 0.0000 0.7262
O1 0.0987 0.5000 0.0067
O2 0.1495 0.5000 0.4825
O3 0.2343 0.2082 0.7355
O4 0.2343 0.7918 0.7355
O5 0.2382 0.0000 0.2048
O6 0.5866 0.5000 0.8102
O7 0.6066 0.0000 0.5149
O8 0.6422 0.0000 0.9207
O9 0.6992 0.2508 0.2162
O10 0.6992 0.7492 0.2162

- total moment (μB/cell) = 0.000
- calculated volume (Å³ per cell) = 264.24
- theoretical density (g/cm3) = 3.3

***

Arrangement x

First-principles (PBE) data for a relaxed Na4MgTi2Ge2O10 crystal, as listed in the Materials Project.

abc: 6.8789 6.8789 5.4851
angles: 90.00 90.00 90.00
Element x y z (fractional)
Na1 0.2169 0.2169 0.0000
Na2 0.2169 0.7831 0.0000
Na3 0.7831 0.2169 0.0000
Na4 0.7831 0.7831 0.0000
Mg1 0.5000 0.5000 0.0000
Ti1 0.0000 0.5000 0.3743
Ti2 0.5000 0.0000 0.6257
Ge1 0.0000 0.0000 0.5000
Ge2 0.5000 0.5000 0.5000
O1 0.0000 0.2064 0.3053
O2 0.0000 0.5000 0.6872
O3 0.0000 0.7936 0.3053
O4 0.2064 0.0000 0.6947
O5 0.2683 0.5000 0.2227
O6 0.5000 0.0000 0.3128
O7 0.5000 0.2683 0.7773
O8 0.5000 0.7317 0.7773
O9 0.7317 0.5000 0.2227
O10 0.7936 0.0000 0.6947

- total moment (μB/cell) = 0.000
- calculated volume (Å³ per cell) = 259.55
- theoretical density (g/cm3) = 3.3

***

Arrangement y

First-principles (PBE) data for a relaxed Na4MgTi2Ge2O10 crystal, as listed in the Materials Project.

abc: 7.0135 7.0135 5.3468
angles: 91.55 91.55 91.29
Element x y z (fractional)
Na1 0.0000 0.0000 0.0000
Na2 0.0638 0.5255 0.8943
Na3 0.5255 0.0638 0.8943
Na4 0.5703 0.5703 0.9269
Mg1 0.0904 0.0904 0.5210
Ti1 0.3286 0.3286 0.3260
Ti2 0.7902 0.7902 0.4871
Ge1 0.3132 0.7926 0.4183
Ge2 0.7926 0.3132 0.4183
O1 0.0117 0.2853 0.2496
O2 0.0982 0.8150 0.6090
O3 0.2841 0.2841 0.6566
O4 0.2853 0.0117 0.2496
O5 0.3029 0.5909 0.2078
O6 0.5186 0.8007 0.6170
O7 0.5909 0.3029 0.2078
O8 0.7887 0.7887 0.1603
O9 0.8007 0.5186 0.6170
O10 0.8150 0.0982 0.6090

- total moment (μB/cell) = 0.006
- calculated volume (Å³ per cell) = 262.74
- theoretical density (g/cm3) = 3.3

***

Arrangement z

First-principles (PBE) data for a relaxed Na4MgTi2Ge2O10 crystal, as listed in the Materials Project.

abc: 6.6350 6.6350 5.8387
angles: 90.00 90.00 90.00
Element x y z (fractional)
Na1 0.2265 0.2265 0.0000
Na2 0.2265 0.7735 0.0000
Na3 0.7735 0.2265 0.0000
Na4 0.7735 0.7735 0.0000
Mg1 0.5000 0.5000 0.1811
Ti1 0.0000 0.0000 0.5478
Ti2 0.5000 0.5000 0.5702
Ge1 0.0000 0.5000 0.4890
Ge2 0.5000 0.0000 0.4890
O1 0.0000 0.0000 0.2452
O2 0.0000 0.2841 0.6736
O3 0.0000 0.7159 0.6736
O4 0.2172 0.5000 0.3108
O5 0.2841 0.0000 0.6736
O6 0.5000 0.2172 0.3108
O7 0.5000 0.5000 0.8733
O8 0.5000 0.7828 0.3108
O9 0.7159 0.0000 0.6736
O10 0.7828 0.5000 0.3108

- total moment (μB/cell) = 2.000
- calculated volume (Å³ per cell) = 257.04
- theoretical density (g/cm3) = 3.3

***

So which one is most stable? That would be arrangement w, about 0.035 eV/atom below the next structure.